{"formula": "La3GaGe5O16", "functional": "PBE-GGA", "state": "relaxed", "rho_g_cm3": 5.8, "energy_ev_per_cell": -354.95, "sg": "P-1 (2)", "cell": [[0.585, -3.281, -3.577], [-1.692, 5.779, -5.585], [15.266, 4.321, 0.150]], "species": ["La", "La", "La", "La", "La", "La", "Ga", "Ga", "Ge", "Ge", "Ge", "Ge", "Ge", "Ge", "Ge", "Ge", "Ge", "Ge", "O", "O", "O", "O", "O", "O", "O", "O", "O", "O", "O", "O", "O", "O", "O", "O", "O", "O", "O", "O", "O", "O", "O", "O", "O", "O", "O", "O", "O", "O", "O", "O"], "frac_coords": [[0.022, 0.135, 0.249], [0.027, 0.736, 0.455], [0.973, 0.264, 0.545], [0.021, 0.738, 0.035], [0.978, 0.865, 0.751], [0.979, 0.262, 0.965], [0.506, 0.193, 0.743], [0.494, 0.807, 0.257], [0.520, 0.944, 0.911], [0.010, 0.567, 0.244], [0.484, 0.944, 0.586], [0.479, 0.438, 0.126], [0.553, 0.433, 0.361], [0.990, 0.433, 0.756], [0.516, 0.056, 0.414], [0.447, 0.567, 0.639], [0.480, 0.056, 0.089], [0.521, 0.562, 0.874], [0.129, 0.919, 0.595], [0.207, 0.721, 0.186], [0.690, 0.066, 0.664], [0.189, 0.283, 0.693], [0.811, 0.717, 0.307], [0.238, 0.523, 0.546], [0.119, 0.063, 0.095], [0.748, 0.522, 0.962], [0.745, 0.584, 0.147], [0.793, 0.279, 0.814], [0.762, 0.477, 0.454], [0.668, 0.252, 0.110], [0.871, 0.081, 0.405], [0.551, 0.854, 0.482], [0.714, 0.418, 0.658], [0.310, 0.934, 0.336], [0.546, 0.865, 0.033], [0.796, 0.393, 0.283], [0.449, 0.146, 0.518], [0.454, 0.135, 0.967], [0.332, 0.748, 0.890], [0.604, 0.992, 0.197], [0.204, 0.607, 0.717], [0.255, 0.416, 0.853], [0.763, 0.608, 0.797], [0.396, 0.008, 0.803], [0.371, 0.245, 0.361], [0.286, 0.582, 0.342], [0.881, 0.937, 0.905], [0.237, 0.392, 0.203], [0.252, 0.478, 0.038], [0.629, 0.755, 0.639]]}

---

{"formula": "LaGaGe2O7", "functional": "PBE-GGA", "state": "relaxed", "rho_g_cm3": 5.3, "energy_ev_per_cell": -303.12, "sg": "P2_1/c (14)", "cell": [[6.710, 0.000, 0.000], [0.000, 7.439, 0.000], [0.000, 6.093, 11.646]], "species": ["La", "La", "La", "La", "Ga", "Ga", "Ga", "Ga", "Ge", "Ge", "Ge", "Ge", "Ge", "Ge", "Ge", "Ge", "O", "O", "O", "O", "O", "O", "O", "O", "O", "O", "O", "O", "O", "O", "O", "O", "O", "O", "O", "O", "O", "O", "O", "O", "O", "O", "O", "O"], "frac_coords": [[0.353, 0.741, 0.525], [0.647, 0.259, 0.475], [0.853, 0.259, 0.975], [0.147, 0.741, 0.025], [0.399, 0.715, 0.269], [0.601, 0.285, 0.731], [0.899, 0.285, 0.231], [0.101, 0.715, 0.769], [0.658, 0.711, 0.047], [0.342, 0.289, 0.953], [0.158, 0.289, 0.453], [0.842, 0.711, 0.547], [0.911, 0.801, 0.282], [0.089, 0.199, 0.718], [0.411, 0.199, 0.218], [0.589, 0.801, 0.782], [0.374, 0.934, 0.303], [0.626, 0.066, 0.697], [0.874, 0.066, 0.197], [0.126, 0.934, 0.803], [0.822, 0.907, 0.023], [0.178, 0.093, 0.977], [0.322, 0.093, 0.477], [0.678, 0.907, 0.523], [0.609, 0.275, 0.278], [0.391, 0.725, 0.722], [0.109, 0.725, 0.222], [0.891, 0.275, 0.778], [0.995, 0.749, 0.426], [0.005, 0.251, 0.574], [0.495, 0.251, 0.074], [0.505, 0.749, 0.926], [0.450, 0.703, 0.131], [0.550, 0.297, 0.869], [0.950, 0.297, 0.369], [0.050, 0.703, 0.631], [0.837, 0.509, 0.083], [0.163, 0.491, 0.917], [0.337, 0.491, 0.417], [0.663, 0.509, 0.583], [0.687, 0.658, 0.314], [0.313, 0.342, 0.686], [0.187, 0.342, 0.186], [0.813, 0.658, 0.814]]}

---

{"formula": "LiGaGeO4", "functional": "PBE-GGA", "state": "relaxed", "rho_g_cm3": 3.9, "energy_ev_per_cell": -255.00, "sg": "R-3 (148)", "cell": [[-3.754, 2.356, 7.557], [-5.956, 0.919, -6.359], [2.046, -8.500, 0.554]], "species": ["Li", "Li", "Li", "Li", "Li", "Li", "Ga", "Ga", "Ga", "Ga", "Ga", "Ga", "Ge", "Ge", "Ge", "Ge", "Ge", "Ge", "O", "O", "O", "O", "O", "O", "O", "O", "O", "O", "O", "O", "O", "O", "O", "O", "O", "O", "O", "O", "O", "O", "O", "O"], "frac_coords": [[0.936, 0.535, 0.767], [0.767, 0.936, 0.535], [0.535, 0.767, 0.936], [0.064, 0.465, 0.233], [0.233, 0.064, 0.465], [0.465, 0.233, 0.064], [0.615, 0.208, 0.432], [0.208, 0.432, 0.615], [0.385, 0.792, 0.568], [0.568, 0.385, 0.792], [0.792, 0.568, 0.385], [0.432, 0.615, 0.208], [0.104, 0.275, 0.867], [0.867, 0.104, 0.275], [0.725, 0.133, 0.896], [0.896, 0.725, 0.133], [0.133, 0.896, 0.725], [0.275, 0.867, 0.104], [0.332, 0.301, 0.647], [0.961, 0.678, 0.630], [0.678, 0.630, 0.961], [0.630, 0.961, 0.678], [0.039, 0.322, 0.370], [0.322, 0.370, 0.039], [0.370, 0.039, 0.322], [0.647, 0.332, 0.301], [0.927, 0.604, 0.257], [0.301, 0.647, 0.332], [0.353, 0.668, 0.699], [0.668, 0.699, 0.353], [0.073, 0.396, 0.743], [0.743, 0.073, 0.396], [0.396, 0.743, 0.073], [0.043, 0.723, 0.026], [0.257, 0.927, 0.604], [0.604, 0.257, 0.927], [0.277, 0.974, 0.957], [0.026, 0.043, 0.723], [0.723, 0.026, 0.043], [0.957, 0.277, 0.974], [0.974, 0.957, 0.277], [0.699, 0.353, 0.668]]}

---

{"formula": "LiGaGe2Se6", "functional": "PBE-GGA", "state": "relaxed", "rho_g_cm3": 4.1, "energy_ev_per_cell": -80.48, "sg": "Cc (9)", "cell": [[-3.629, 4.301, 4.706], [0.578, -7.214, 1.201], [8.780, 0.437, 9.101]], "species": ["Li", "Li", "Ga", "Ga", "Ge", "Ge", "Ge", "Ge", "Se", "Se", "Se", "Se", "Se", "Se", "Se", "Se", "Se", "Se", "Se", "Se"], "frac_coords": [[0.652, 0.236, 0.909], [0.236, 0.652, 0.409], [0.248, 0.498, 0.000], [0.498, 0.248, 0.500], [0.218, 0.212, 0.777], [0.745, 0.243, 0.223], [0.212, 0.218, 0.277], [0.243, 0.745, 0.723], [0.992, 0.356, 0.738], [0.844, 0.979, 0.259], [0.356, 0.992, 0.238], [0.979, 0.844, 0.759], [0.465, 0.894, 0.539], [0.184, 0.254, 0.461], [0.894, 0.465, 0.039], [0.254, 0.184, 0.961], [0.481, 0.823, 0.846], [0.419, 0.572, 0.155], [0.823, 0.481, 0.346], [0.572, 0.419, 0.655]]}

---

{"formula": "LuMn6GaGe5", "functional": "PBE-GGA", "state": "relaxed", "rho_g_cm3": 8.3, "energy_ev_per_cell": -89.53, "sg": "P6mm (183)", "cell": [[-1.513, 4.805, 1.105], [3.345, 3.351, 2.043], [2.157, 2.393, -7.455]], "species": ["Lu", "Mn", "Mn", "Mn", "Mn", "Mn", "Mn", "Ga", "Ge", "Ge", "Ge", "Ge", "Ge"], "frac_coords": [[0.000, 0.000, 0.999], [0.500, 0.500, 0.249], [0.500, 0.000, 0.249], [0.000, 0.500, 0.249], [0.500, 0.500, 0.751], [0.500, 0.000, 0.751], [0.000, 0.500, 0.751], [0.000, 0.000, 0.656], [0.667, 0.667, 0.999], [0.333, 0.333, 0.999], [0.667, 0.667, 0.502], [0.333, 0.333, 0.502], [0.000, 0.000, 0.341]]}

---

{"formula": "ScMn6GaGe5", "functional": "PBE-GGA", "state": "relaxed", "rho_g_cm3": 7.3, "energy_ev_per_cell": -91.51, "sg": "P-6m2 (187)", "cell": [[-2.553, -4.422, 0.000], [-2.554, 4.423, 0.000], [0.000, 0.000, -8.165]], "species": ["Sc", "Mn", "Mn", "Mn", "Mn", "Mn", "Mn", "Ga", "Ge", "Ge", "Ge", "Ge", "Ge"], "frac_coords": [[0.000, 0.000, 0.000], [0.001, 0.500, 0.247], [0.500, 0.999, 0.247], [0.500, 0.500, 0.247], [0.001, 0.500, 0.753], [0.500, 0.999, 0.753], [0.500, 0.500, 0.753], [0.667, 0.333, 0.500], [0.333, 0.667, 0.000], [0.667, 0.333, 0.000], [0.000, 0.000, 0.338], [0.000, 0.000, 0.662], [0.333, 0.667, 0.500]]}

---

{"formula": "Sc2Mn12GaGe11", "functional": "PBE-GGA", "state": "relaxed", "rho_g_cm3": 7.3, "energy_ev_per_cell": -184.87, "sg": "P-6m2 (187)", "cell": [[2.563, -4.440, 0.000], [2.563, 4.440, 0.000], [0.000, 0.000, 16.231]], "species": ["Sc", "Sc", "Mn", "Mn", "Mn", "Mn", "Mn", "Mn", "Mn", "Mn", "Mn", "Mn", "Mn", "Mn", "Ga", "Ge", "Ge", "Ge", "Ge", "Ge", "Ge", "Ge", "Ge", "Ge", "Ge", "Ge"], "frac_coords": [[0.667, 0.333, 0.750], [0.667, 0.333, 0.250], [0.167, 0.334, 0.627], [0.167, 0.333, 0.125], [0.666, 0.833, 0.627], [0.667, 0.833, 0.125], [0.167, 0.833, 0.627], [0.167, 0.833, 0.125], [0.167, 0.334, 0.373], [0.167, 0.333, 0.875], [0.666, 0.833, 0.373], [0.667, 0.833, 0.875], [0.167, 0.833, 0.373], [0.167, 0.833, 0.875], [0.000, 0.000, 0.500], [0.000, 0.000, 0.250], [0.000, 0.000, 0.750], [0.333, 0.667, 0.750], [0.333, 0.667, 0.250], [0.667, 0.333, 0.581], [0.667, 0.333, 0.081], [0.667, 0.333, 0.419], [0.667, 0.333, 0.919], [0.000, 0.000, 0.000], [0.333, 0.667, 0.500], [0.333, 0.667, 0.000]]}

---

{"formula": "Tb3Mn3Ga2Ge", "functional": "PBE-GGA", "state": "relaxed", "rho_g_cm3": 7.9, "energy_ev_per_cell": -55.22, "sg": "P-6 (174)", "cell": [[-6.011, 1.283, -3.439], [-0.162, -2.932, 6.402], [-0.181, 3.790, 1.731]], "species": ["Tb", "Tb", "Tb", "Mn", "Mn", "Mn", "Ga", "Ga", "Ge"], "frac_coords": [[0.248, 0.332, 0.500], [0.084, 0.752, 0.500], [0.668, 0.916, 0.500], [0.899, 0.329, 0.000], [0.430, 0.101, 0.000], [0.671, 0.570, 0.000], [0.333, 0.667, 0.000], [0.667, 0.333, 0.500], [0.000, 0.000, 0.000]]}